Record 1
! AlC (PBE, relaxed); values from VASP
&SYSTEM
  ibrav = 0, nat = 60, ntyp = 2
/
ATOMIC_SPECIES
Al 26.98 Al.upf
C 12.01 C.upf
CELL_PARAMETERS angstrom
-7.7603 25.2257 -14.1997
-4.1112 2.4007 6.5117
6.6250 3.6674 2.8945
ATOMIC_POSITIONS angstrom
Al -1.0910 10.6660 0.4070
Al 0.2402 9.9009 -1.7772
Al -2.4460 11.5089 2.5474
Al -4.4073 8.8446 -1.0472
Al 3.5731 11.7136 -0.3420
Al -5.7700 9.6671 1.1286
Al 0.8791 12.2841 -0.6016
Al -1.8492 13.9118 3.7392
Al -0.4974 13.1962 1.4967
Al -2.4405 10.5930 -2.0659
Al -1.0317 9.6920 -4.2041
Al -3.7497 11.2863 0.1556
Al -1.8408 13.1034 -0.9650
Al -0.5024 12.3415 -3.1443
Al -3.2023 13.9405 1.1719
Al -5.1358 11.2129 -2.3803
Al -3.7510 10.3605 -4.5077
Al 0.1396 15.6181 2.7061
Al 0.2358 14.7705 -1.8250
Al -2.5020 16.3199 2.4165
Al -1.4514 15.8849 0.0067
Al -3.1520 13.3183 -3.6234
Al -1.8406 12.0356 -5.5560
Al -4.5766 13.5792 -1.3113
Al -2.6203 15.6373 -2.3914
Al -0.7914 15.1458 -4.2905
Al -4.4557 16.1498 -0.5041
Al -5.9949 14.0055 -3.9522
Al -4.4978 12.8102 -5.8903
Al -0.6208 18.0677 1.3308
C -0.5452 16.2585 -5.9896
C -0.7961 18.0186 -2.7831
C -1.2180 19.7515 0.2910
C -4.0793 15.3501 -5.9490
C -4.3675 16.8865 -2.6928
C -1.7259 17.1602 -3.6503
C -2.1048 18.9911 -0.5599
C -4.9698 14.6020 -6.8069
C -5.3340 16.1474 -3.6272
C -5.5709 17.8617 -0.3950
C -3.2563 17.7047 -3.5551
C -3.5786 19.3979 -0.3662
C 0.1899 18.7854 -3.7464
C -6.7584 16.8056 -3.4661
C -2.9329 16.0076 -6.7419
C -1.3656 17.3958 -5.2223
C -1.6921 19.1098 -2.0608
C -4.5412 14.7617 -8.3094
C -4.8566 16.4168 -5.1154
C -5.1679 18.0815 -1.9262
C -3.0718 18.9628 -2.6947
C 0.6878 18.3035 -6.0422
C -6.2513 16.3925 -5.7896
C -6.5310 18.0382 -2.5825
C -2.7364 17.2748 -5.8629
C -4.0854 19.1395 -1.8130
C -0.3275 18.4954 -5.1606
C -0.6393 20.2453 -2.0121
C -7.5428 18.2189 -1.6946
C -3.7534 17.4625 -4.9874
! total energy: -5.9475 eV per atom
! volume: 1959.7 Å³ per cell

---

Record 2
! Sr3CaAl8H24C8O44 (PBE, relaxed); values from VASP
&SYSTEM
  ibrav = 0, nat = 88, ntyp = 6
/
ATOMIC_SPECIES
Sr 87.62 Sr.upf
Ca 40.08 Ca.upf
Al 26.98 Al.upf
H 1.01 H.upf
C 12.01 C.upf
O 16.00 O.upf
CELL_PARAMETERS angstrom
-5.3689 -0.6660 -1.7076
-1.8618 -4.6352 7.6616
-4.0600 13.7842 7.3888
ATOMIC_POSITIONS angstrom
Sr -6.0385 5.3131 7.4895
Sr -3.7580 12.5031 6.9389
Sr -2.5677 3.5007 6.7077
Ca -4.8675 -3.6615 7.3082
Al -5.5350 2.7799 2.2202
Al -5.1954 9.2874 7.9643
Al -5.7357 5.7074 11.1270
Al -6.1156 -0.8233 5.3802
Al -8.4379 5.3721 10.2675
Al -3.4122 -0.4879 6.2400
Al -2.8720 3.1103 3.0672
Al -7.8592 8.9570 7.1171
H -4.2626 0.9851 3.5941
H -5.8522 8.9810 5.4732
H -4.3437 7.8303 10.6032
H -2.7550 -0.1645 8.7262
H -1.6620 5.2709 3.1695
H -4.4981 10.1624 10.1790
H -6.9437 3.5423 11.0263
H -4.1094 -1.3495 4.0229
H -1.7113 1.5652 4.7701
H -3.2316 9.7357 6.3634
H -6.8946 7.2491 9.4261
H -5.3728 -0.9373 7.8345
H -6.0093 0.1744 9.4019
H -7.1674 9.2347 9.5093
H -2.5977 8.6449 4.7957
H -1.4391 -0.4191 4.6882
H -8.5897 9.8922 11.1297
H -5.4181 2.3407 9.2986
H -1.4942 -1.2591 2.5972
H -7.0759 5.9934 3.6616
H -5.3865 -1.7420 1.3592
H -3.1880 6.4757 4.8982
H -7.1113 10.0756 11.5999
H -6.8994 2.1569 8.8274
C -7.0031 11.6063 8.0677
C -4.9687 4.7062 4.3628
C -1.6021 -2.7791 6.1212
C -3.6372 4.1087 9.8332
C -0.7353 1.6297 1.6764
C -3.4025 6.9684 7.9800
C -7.8683 7.2080 12.5036
C -5.2037 1.8415 6.2188
O -4.2639 1.9018 3.2407
O -6.1636 9.1313 6.3935
O -4.3416 6.9128 10.9543
O -2.4443 -0.3089 7.8059
O -1.7234 2.5152 4.4376
O -3.5530 9.9300 7.2979
O -6.8789 6.2953 9.7489
O -5.0497 -1.1706 6.9095
O -5.2130 1.5513 0.7195
O -4.5995 7.4432 7.7968
O -6.6106 6.8756 12.4324
O -6.1490 1.0972 5.7245
O -8.7490 6.6103 11.7522
O -4.0087 1.3627 6.4052
O -1.9988 1.9500 1.7418
O -7.8255 7.0430 6.7708
O -7.6902 10.1214 10.8074
O -6.2292 1.8094 9.4557
O -0.9164 -1.3025 3.3894
O -2.3768 7.0063 4.7403
O -5.8700 4.0572 3.6617
O -5.7856 11.1372 8.2049
O -4.8938 4.4897 9.8481
O -6.0410 -2.7263 5.0045
O -8.1049 4.0913 8.8268
O -2.8343 -2.3285 6.0244
O -3.7120 4.3249 4.3481
O -7.9403 10.8699 7.5196
O -4.0154 3.8130 1.7137
O -6.8494 8.7041 8.7166
O -4.5915 5.0061 12.4838
O -1.7573 0.1035 5.4847
O -0.3596 0.7335 0.8446
O -3.1563 5.7439 7.6835
O -8.2460 8.1148 13.3374
O -5.4483 3.0678 6.5097
O -3.2171 -0.9956 1.0793
O -5.3172 5.7088 5.0674
O -5.3695 9.8632 13.0353
O -3.2886 3.1065 9.1282
O -1.4442 4.3807 2.8320
O -4.2285 9.4040 9.6270
O -7.1614 4.4323 11.3638
O -4.3788 -0.5898 4.5737
! E (MP2020): -6.83 eV/atom
! volume: 838.4 Å³ per cell

---

Record 3
! Na3CaAl3Si3CO15 (PBE, relaxed); values from VASP
&SYSTEM
  ibrav = 0, nat = 52, ntyp = 6
/
ATOMIC_SPECIES
Na 22.99 Na.upf
Ca 40.08 Ca.upf
Al 26.98 Al.upf
Si 28.09 Si.upf
C 12.01 C.upf
O 16.00 O.upf
CELL_PARAMETERS angstrom
12.1222 0.0000 0.0000
-6.0611 10.4981 0.0000
0.0000 0.0000 5.7500
ATOMIC_POSITIONS angstrom
Na 8.4621 4.9778 4.1373
Na -2.4010 5.5203 1.2622
Na 3.5802 4.8395 4.1373
Na 2.4809 5.6587 1.2622
Na -0.0799 9.8173 1.2622
Na 6.1410 0.6808 4.1373
Ca 0.0000 6.9988 3.5932
Ca 6.0611 3.4994 0.7182
Al -4.0996 7.8751 1.3206
Al 3.2524 0.3872 4.1956
Al 4.7703 7.4879 4.1956
Al 1.2908 3.0102 1.3206
Al 2.8087 10.1109 1.3206
Al 10.1607 2.6230 4.1956
Si 3.3136 0.3917 1.3213
Si 1.3176 3.0655 4.1963
Si -4.0651 7.8243 4.1963
Si 10.1262 2.6738 1.3213
Si 4.7435 7.4326 1.3213
Si 2.7475 10.1065 4.1963
C 0.0000 6.9988 1.3253
C 6.0611 3.4994 4.2003
O 7.1063 2.7367 4.3303
O 1.1831 7.5226 1.4553
O 1.7496 10.0641 5.5578
O 1.7415 10.0520 2.8342
O 3.6078 8.7598 4.1920
O 4.0051 8.8638 1.3091
O 9.3902 1.2554 1.3170
O 4.2877 6.5342 5.7092
O 4.2813 6.5473 2.6828
O 9.6788 0.9634 4.1842
O 9.5906 3.5168 2.6828
O 9.5760 3.5178 5.7092
O -0.1378 5.7122 1.4553
O 6.4485 7.9004 4.1842
O 6.3399 7.5044 1.3170
O -0.2788 2.9937 4.1920
O -0.3874 2.5977 1.3091
O 6.1989 4.7859 4.3303
O -3.5149 6.9804 2.8342
O -3.5295 6.9813 5.5578
O -3.6177 9.5348 1.3091
O 1.7798 3.9509 5.5578
O 1.7734 3.9639 2.8342
O -3.3291 9.2427 4.1920
O 2.0560 1.6343 4.1842
O 2.4533 1.7383 1.3170
O 4.3196 0.4462 5.7092
O 4.3115 0.4340 2.6828
O 4.8780 2.9755 4.3303
O -1.0452 7.7614 1.4553
! E (MP2020): -7.26 eV/atom
! volume: 731.8 Å³ per cell

---

Record 4
! Na3CaAl3Si3CO15 (PBE, relaxed); values from VASP
&SYSTEM
  ibrav = 0, nat = 52, ntyp = 6
/
ATOMIC_SPECIES
Na 22.99 Na.upf
Ca 40.08 Ca.upf
Al 26.98 Al.upf
Si 28.09 Si.upf
C 12.01 C.upf
O 16.00 O.upf
CELL_PARAMETERS angstrom
-5.2418 5.7752 -9.8374
-7.0039 -7.2403 7.4918
-1.1756 4.5483 3.2966
ATOMIC_POSITIONS angstrom
Na -9.2744 5.2627 -3.6475
Na -4.0121 -2.7007 4.2207
Na -6.9475 2.6091 0.8435
Na -6.3390 -0.0471 -0.2703
Na -9.5780 -3.3282 3.1015
Na -3.7085 5.8902 -2.5283
Ca -7.1975 0.1197 3.9054
Ca -6.0223 2.1841 -3.5193
Al -5.4700 -4.3411 6.2378
Al -2.2532 4.7649 -0.1830
Al -9.8929 2.2187 0.6056
Al -3.4580 0.5926 0.1483
Al -11.0977 -1.9536 0.9369
Al -7.8809 7.1523 -5.4839
Si -1.6955 2.5353 -1.8988
Si -4.1296 2.8632 1.7764
Si -6.0046 -2.0166 7.8404
Si -7.3474 4.8322 -7.0834
Si -9.2224 -0.0476 -1.0193
Si -11.6566 0.2803 2.6558
C -6.7427 -1.6399 2.6301
C -6.7431 4.9728 -1.4980
O -5.7494 5.7047 -1.8841
O -6.8907 -0.7867 1.6696
O -11.4650 0.9350 4.2044
O -3.9903 5.9561 -4.8451
O -10.7761 1.1925 1.6659
O -10.2324 -0.9112 -0.1285
O -5.7713 5.0156 -6.8197
O -9.1534 3.4992 1.6990
O -8.5297 1.1923 -0.0995
O -6.2023 7.4467 -5.2272
O -8.1290 5.3321 -5.6683
O -3.5807 1.9479 5.8266
O -5.6326 -1.6384 3.2934
O -10.7138 2.9959 -0.6954
O -9.9127 0.6606 -2.2879
O -3.4287 2.1137 3.0150
O -2.6522 -0.1263 1.4916
O -7.9165 5.2167 -1.9836
O -10.3813 3.2273 -3.3593
O -5.7839 -0.3464 7.9982
O -7.1638 -4.5770 6.0234
O -5.3832 3.7934 2.4294
O -4.8086 1.6760 0.7683
O -7.5701 -2.2413 7.5467
O -3.1336 3.7809 0.9248
O -2.5653 1.5818 -0.9388
O -9.9716 -0.7808 7.3124
O -2.4479 4.0507 -1.8745
O -6.6585 4.3650 -0.3598
O -7.7998 -2.1265 3.1939
! E (MP2020): -7.23 eV/atom
! volume: 783.3 Å³ per cell